1.
This record from Materials Project describes an optimized crystal structure of Zn3Si3Bi2O12. The functional is PBE.

Cell and atoms, written as POSCAR:
```
Zn3Si3Bi2O12
1.0
-6.249 6.249 6.249
6.249 -6.249 6.249
6.249 6.249 -6.249
Zn Si Bi O
12 12 8 48
Direct
0.125 0.250 0.375
0.125 0.375 0.750
0.250 0.375 0.125
0.250 0.875 0.625
0.375 0.125 0.250
0.375 0.750 0.125
0.625 0.250 0.875
0.625 0.875 0.750
0.750 0.125 0.375
0.750 0.625 0.875
0.875 0.625 0.250
0.875 0.750 0.625
0.125 0.750 0.875
0.125 0.875 0.250
0.250 0.125 0.875
0.250 0.625 0.375
0.375 0.250 0.625
0.375 0.625 0.750
0.625 0.375 0.250
0.625 0.750 0.375
0.750 0.375 0.625
0.750 0.875 0.125
0.875 0.125 0.750
0.875 0.250 0.125
0.000 0.000 0.000
0.000 0.000 0.500
0.000 0.500 0.000
0.000 0.500 0.500
0.500 0.000 0.000
0.500 0.000 0.500
0.500 0.500 0.000
0.500 0.500 0.500
0.024 0.233 0.132
0.024 0.292 0.892
0.101 0.733 0.708
0.101 0.868 0.392
0.108 0.632 0.399
0.108 0.976 0.708
0.132 0.024 0.233
0.132 0.608 0.899
0.208 0.233 0.601
0.208 0.476 0.608
0.233 0.132 0.024
0.233 0.601 0.208
0.267 0.292 0.899
0.267 0.476 0.368
0.292 0.892 0.024
0.292 0.899 0.267
0.368 0.267 0.476
0.368 0.601 0.892
0.392 0.101 0.868
0.392 0.792 0.524
0.399 0.108 0.632
0.399 0.792 0.767
0.476 0.368 0.267
0.476 0.608 0.208
0.524 0.392 0.792
0.524 0.632 0.733
0.601 0.208 0.233
0.601 0.892 0.368
0.608 0.208 0.476
0.608 0.899 0.132
0.632 0.399 0.108
0.632 0.733 0.524
0.708 0.101 0.733
0.708 0.108 0.976
0.733 0.524 0.632
0.733 0.708 0.101
0.767 0.399 0.792
0.767 0.868 0.976
0.792 0.524 0.392
0.792 0.767 0.399
0.868 0.392 0.101
0.868 0.976 0.767
0.892 0.024 0.292
0.892 0.368 0.601
0.899 0.132 0.608
0.899 0.267 0.292
0.976 0.708 0.108
0.976 0.767 0.868
```

Calculated values
energy of formation from the pure elements: -2163 meV per atom
calculated volume: 976.1 Å³ per cell
SG: No. 230
spin magnetization: 0.00 μB per formula unit

---

2.
This record from Materials Project describes an optimized crystal structure of Sm3Bi5O12. The functional is PBE.

Cell and atoms, written as POSCAR:
```
Sm3Bi5O12
1.0
9.627 0.000 0.000
-3.200 9.085 0.000
-3.206 -4.539 7.882
Sm Bi O
6 10 24
Direct
0.000 0.000 0.000
0.001 0.500 0.499
0.035 0.783 0.251
0.220 0.249 0.469
0.501 0.997 0.500
0.503 0.500 0.001
0.250 0.969 0.717
0.251 0.470 0.220
0.280 0.750 0.029
0.471 0.718 0.750
0.529 0.278 0.250
0.720 0.250 0.971
0.750 0.527 0.782
0.753 0.029 0.281
0.782 0.747 0.530
0.973 0.220 0.749
0.020 0.277 0.546
0.035 0.766 0.994
0.050 0.014 0.781
0.221 0.738 0.769
0.232 0.467 0.952
0.237 0.506 0.465
0.260 0.730 0.275
0.269 0.223 0.240
0.274 0.040 0.504
0.453 0.230 0.968
0.467 0.449 0.730
0.487 0.031 0.263
0.515 0.964 0.736
0.536 0.548 0.272
0.551 0.771 0.034
0.725 0.952 0.487
0.730 0.778 0.765
0.737 0.268 0.720
0.765 0.484 0.533
0.773 0.535 0.048
0.779 0.262 0.229
0.964 0.990 0.231
0.967 0.236 0.014
0.989 0.723 0.452
```

Calculated values
energy of formation from the pure elements: -2445 meV per atom
calculated volume: 689.4 Å³ per cell
SG: No. 1
spin magnetization: 0.00 μB per formula unit